(1)
DFT (PBE+U) results for a relaxed structure of KSrMnSnO6.

Total moment: 8.0 μB per cell
E (MP2020): -0.2433 Ha/atom
Formation energy: -2054 meV/atom

CIF file:
```
data_KSrMnSnO6
_symmetry_space_group_name_H-M 'F -4 3 m'
_symmetry_Int_Tables_number 216
_symmetry_space_group_name_Hall 'F -4 2 3'
_cell_length_a 8.0242
_cell_length_b 8.0242
_cell_length_c 8.0242
_cell_angle_alpha 90.00
_cell_angle_beta 90.00
_cell_angle_gamma 90.00
loop_
_atom_site_label
_atom_site_fract_x
_atom_site_fract_y
_atom_site_fract_z
K1 0.0000 0.0000 0.0000
Sr1 0.0000 0.0000 0.5000
Mn1 0.2500 0.2500 0.2500
Sn1 0.2500 0.2500 0.7500
O1 0.0081 0.2500 0.2500
```

---

(2)
DFT (PBE+U) results for a relaxed structure of V3OF11.

Energy relative to the lowest polymorph listed for this composition: 56 meV per atom
Total moment: 4.0 μB per cell
E (MP2020): -0.2349 Ha/atom
Formation energy: -2842 meV/atom

CIF file:
```
data_V3OF11
_symmetry_space_group_name_H-M 'P -1'
_symmetry_Int_Tables_number 2
_symmetry_space_group_name_Hall '-P 1'
_cell_length_a 5.2707
_cell_length_b 5.4435
_cell_length_c 14.6149
_cell_angle_alpha 79.54
_cell_angle_beta 89.96
_cell_angle_gamma 89.96
loop_
_atom_site_label
_atom_site_fract_x
_atom_site_fract_y
_atom_site_fract_z
V1 0.0000 0.0000 0.0000
V2 0.0018 0.3323 0.3344
V3 0.4931 0.1656 0.6724
V4 0.5000 0.5000 0.0000
O1 0.4181 0.1233 0.7817
F1 0.0843 0.2896 0.4524
F2 0.0859 0.6235 0.7842
F3 0.0860 0.9566 0.1186
F4 0.2004 0.3088 0.9750
F5 0.2046 0.6402 0.3089
F6 0.2060 0.9744 0.6408
F7 0.2986 0.1377 0.3086
F8 0.2991 0.4708 0.6409
F9 0.2995 0.8085 0.9750
F10 0.4120 0.7896 0.4506
F11 0.4136 0.4565 0.1186
```

---

(3)
DFT (PBE+U) results for a relaxed structure of Li3Co3SbO8.

Energy relative to the lowest polymorph listed for this composition: 9 meV per atom
Total moment: 16.0 μB per cell
E (MP2020): -0.2366 Ha/atom
Formation energy: -1721 meV/atom

CIF file:
```
data_Li3Co3SbO8
_symmetry_space_group_name_H-M 'P -1'
_symmetry_Int_Tables_number 2
_symmetry_space_group_name_Hall '-P 1'
_cell_length_a 6.0055
_cell_length_b 6.0636
_cell_length_c 8.6276
_cell_angle_alpha 89.79
_cell_angle_beta 89.92
_cell_angle_gamma 89.79
loop_
_atom_site_label
_atom_site_fract_x
_atom_site_fract_y
_atom_site_fract_z
Li1 0.0000 0.0000 0.0000
Li2 0.2492 0.2484 0.7505
Li3 0.2496 0.7497 0.2496
Li4 0.5000 0.5000 0.5000
Co1 0.0000 0.0000 0.5000
Co2 0.2473 0.2479 0.2514
Co3 0.2516 0.7494 0.7496
Co4 0.5000 0.5000 0.0000
Sb1 0.0000 0.5000 0.0000
Sb2 0.5000 0.0000 0.5000
O1 0.0014 0.5071 0.7660
O2 0.0005 0.9648 0.7488
O3 0.2377 0.7301 0.9937
O4 0.2385 0.2703 0.0071
O5 0.2632 0.2318 0.4933
O6 0.2634 0.7690 0.5066
O7 0.4994 0.4608 0.2446
O8 0.5003 0.0056 0.2664
```

---

(4)
DFT (PBE+U) results for a relaxed structure of BaVCdP2O9.

Total moment: 7.1 μB per cell
E (MP2020): -0.2767 Ha/atom
Formation energy: -2724 meV/atom

CIF file:
```
data_BaVCdP2O9
_symmetry_space_group_name_H-M 'P b c a'
_symmetry_Int_Tables_number 61
_symmetry_space_group_name_Hall '-P 2ac 2ab'
_cell_length_a 8.9438
_cell_length_b 9.0393
_cell_length_c 19.7494
_cell_angle_alpha 90.00
_cell_angle_beta 90.00
_cell_angle_gamma 90.00
loop_
_atom_site_label
_atom_site_fract_x
_atom_site_fract_y
_atom_site_fract_z
Ba1 0.1807 0.0181 0.0820
V1 0.0008 0.6450 0.7745
Cd1 0.1789 0.1232 0.4101
P1 0.0578 0.7089 0.9767
P2 0.2475 0.1072 0.2537
O1 0.0128 0.6409 0.6924
O2 0.0448 0.6953 0.0559
O3 0.0901 0.1700 0.5590
O4 0.0967 0.6248 0.4606
O5 0.1477 0.0150 0.3035
O6 0.1492 0.1972 0.2041
O7 0.1594 0.5053 0.2072
O8 0.1590 0.7060 0.3015
O9 0.1940 0.6148 0.9530
```